[1]
Entry from the Materials Project database: a relaxed structure of LaGaNi4 (meta-GGA r2SCAN).

Lattice parameters (Å, degrees): 5.1485 5.1485 3.8392 90.00 90.00 120.00
Space group P-6m2 (No. 187)
Asymmetric unit:
La 0.0000 0.0000 0.0000 x1
Ga 0.3333 0.6667 0.0000 x1
Ni 0.5032 0.0065 0.5000 x3
Ni 0.6667 0.3333 0.0000 x1

Calculated values
Energy of formation: -2.28 eV per formula unit


[2]
Entry from the Materials Project database: a relaxed structure of TiBe2 (meta-GGA r2SCAN).

Lattice parameters (Å, degrees): 6.438 6.438 6.438 90.00 90.00 90.00
Space group Fd-3m (No. 227, origin choice 2)
Asymmetric unit:
Ti 0.125 0.125 0.125 x8
Be 0.000 0.000 0.500 x16

Calculated values
Energy of formation: -0.74 eV per formula unit